1.
PBE-GGA Na14Ti4In4Si9S3O48, relaxed; M_tot = 0.000 μB/atom; formation energy from the elements = -217.7 eV/f.u.; V = 3213.3 Å³/cell; electronic total energy = -6.641 eV per atom
1.0
-7.694 -8.403 14.272
8.510 -2.135 -2.515
7.952 15.714 13.629
Na Ti In Si S O
42 12 12 27 9 144
direct
0.822 0.013 0.256 Na
0.175 0.354 0.255 Na
0.692 0.371 0.254 Na
0.998 0.628 0.248 Na
0.498 0.635 0.250 Na
0.320 0.628 0.753 Na
0.995 0.356 0.742 Na
0.499 0.369 0.745 Na
0.190 0.012 0.750 Na
0.682 0.004 0.750 Na
0.147 0.322 0.581 Na
0.652 0.325 0.581 Na
0.337 0.988 0.588 Na
0.834 0.973 0.582 Na
0.147 0.976 0.081 Na
0.651 0.973 0.078 Na
0.334 0.691 0.081 Na
0.837 0.688 0.088 Na
0.479 0.674 0.915 Na
0.978 0.674 0.923 Na
0.347 0.029 0.907 Na
0.847 0.028 0.909 Na
0.174 0.298 0.910 Na
0.668 0.286 0.911 Na
0.482 0.289 0.427 Na
0.977 0.281 0.419 Na
0.167 0.050 0.415 Na
0.675 0.051 0.416 Na
0.348 0.668 0.413 Na
0.847 0.664 0.418 Na
0.998 0.991 0.503 Na
0.507 0.011 0.506 Na
0.004 0.000 0.004 Na
0.504 0.004 0.999 Na
0.330 0.337 0.827 Na
0.823 0.333 0.827 Na
0.324 0.310 0.333 Na
0.829 0.324 0.332 Na
0.156 0.653 0.167 Na
0.664 0.654 0.166 Na
0.162 0.671 0.665 Na
0.660 0.661 0.665 Na
0.997 0.011 0.645 Ti
0.511 0.017 0.656 Ti
0.010 0.005 0.156 Ti
0.503 0.986 0.149 Ti
0.826 0.320 0.678 Ti
0.328 0.349 0.184 Ti
0.167 0.672 0.020 Ti
0.666 0.665 0.019 Ti
0.165 0.666 0.520 Ti
0.676 0.661 0.525 Ti
0.177 0.672 0.307 Ti
0.679 0.685 0.805 Ti
0.002 0.011 0.351 In
0.500 0.004 0.352 In
0.000 0.996 0.850 In
0.502 0.993 0.850 In
0.335 0.325 0.681 In
0.836 0.346 0.182 In
0.328 0.336 0.986 In
0.824 0.338 0.985 In
0.326 0.313 0.485 In
0.828 0.329 0.489 In
0.676 0.680 0.315 In
0.174 0.671 0.812 In
0.154 0.003 0.252 Si
0.647 0.996 0.251 Si
0.355 0.710 0.249 Si
0.856 0.711 0.250 Si
0.001 0.297 0.252 Si
0.145 0.293 0.750 Si
0.654 0.305 0.753 Si
0.501 0.705 0.752 Si
0.355 0.000 0.750 Si
0.856 0.011 0.750 Si
0.486 0.333 0.582 Si
0.983 0.342 0.584 Si
0.177 0.023 0.583 Si
0.678 0.023 0.582 Si
0.840 0.632 0.582 Si
0.483 0.626 0.085 Si
0.986 0.639 0.082 Si
0.178 0.334 0.083 Si
0.676 0.330 0.084 Si
0.315 0.668 0.919 Si
0.808 0.667 0.915 Si
0.168 0.960 0.916 Si
0.669 0.954 0.917 Si
0.308 0.950 0.416 Si
0.815 0.964 0.419 Si
0.168 0.383 0.417 Si
0.667 0.374 0.416 Si
0.494 0.289 0.247 S
0.995 0.699 0.749 S
0.333 0.636 0.581 S
0.335 0.042 0.084 S
0.834 0.031 0.081 S
0.022 0.379 0.919 S
0.525 0.384 0.917 S
0.027 0.666 0.415 S
0.521 0.663 0.419 S
0.123 0.060 0.312 O
0.611 0.039 0.311 O
0.412 0.775 0.310 O
0.910 0.788 0.312 O
0.482 0.203 0.307 O
0.981 0.196 0.315 O
0.112 0.185 0.813 O
0.620 0.189 0.814 O
0.480 0.763 0.816 O
0.984 0.761 0.809 O
0.407 0.027 0.813 O
0.911 0.051 0.812 O
0.410 0.985 0.693 O
0.905 0.987 0.693 O
0.081 0.181 0.695 O
0.588 0.208 0.696 O
0.005 0.815 0.700 O
0.519 0.850 0.701 O
0.403 0.828 0.191 O
0.909 0.833 0.192 O
0.019 0.188 0.200 O
0.503 0.191 0.198 O
0.089 0.970 0.194 O
0.583 0.977 0.194 O
0.448 0.370 0.642 O
0.932 0.359 0.642 O
0.243 0.098 0.640 O
0.746 0.128 0.638 O
0.318 0.528 0.634 O
0.820 0.487 0.634 O
0.430 0.503 0.142 O
0.949 0.525 0.142 O
0.324 0.134 0.133 O
0.818 0.108 0.134 O
0.249 0.367 0.139 O
0.741 0.381 0.140 O
0.212 0.276 0.024 O
0.707 0.267 0.025 O
0.426 0.556 0.025 O
0.925 0.557 0.022 O
0.349 0.133 0.026 O
0.844 0.131 0.026 O
0.210 0.148 0.524 O
0.710 0.143 0.523 O
0.344 0.558 0.526 O
0.858 0.571 0.518 O
0.424 0.288 0.523 O
0.927 0.296 0.524 O
0.258 0.678 0.977 O
0.758 0.680 0.975 O
0.077 0.475 0.971 O
0.576 0.474 0.971 O
0.160 0.836 0.974 O
0.658 0.835 0.977 O
0.258 0.836 0.475 O
0.759 0.837 0.476 O
0.158 0.482 0.476 O
0.661 0.481 0.473 O
0.077 0.679 0.469 O
0.575 0.678 0.469 O
0.068 0.653 0.360 O
0.553 0.640 0.359 O
0.249 0.848 0.357 O
0.760 0.901 0.357 O
0.176 0.496 0.356 O
0.673 0.470 0.352 O
0.056 0.472 0.862 O
0.562 0.479 0.862 O
0.177 0.878 0.854 O
0.676 0.856 0.857 O
0.258 0.623 0.858 O
0.748 0.649 0.858 O
0.022 0.825 0.416 O
0.514 0.820 0.418 O
0.401 0.962 0.415 O
0.905 0.962 0.421 O
0.085 0.193 0.418 O
0.579 0.187 0.419 O
0.017 0.213 0.920 O
0.520 0.216 0.918 O
0.081 0.974 0.920 O
0.585 0.977 0.919 O
0.404 0.849 0.922 O
0.902 0.840 0.915 O
0.495 0.161 0.590 O
0.994 0.171 0.592 O
0.085 0.006 0.596 O
0.587 0.010 0.596 O
0.407 0.809 0.587 O
0.915 0.825 0.595 O
0.491 0.818 0.093 O
0.995 0.828 0.089 O
0.407 0.010 0.091 O
0.907 0.006 0.087 O
0.087 0.166 0.096 O
0.581 0.163 0.096 O
0.343 0.165 0.749 O
0.842 0.174 0.742 O
0.241 0.327 0.741 O
0.745 0.317 0.739 O
0.418 0.522 0.742 O
0.922 0.525 0.743 O
0.342 0.515 0.241 O
0.843 0.521 0.248 O
0.420 0.314 0.240 O
0.917 0.313 0.242 O
0.247 0.172 0.235 O
0.742 0.154 0.241 O
0.329 0.505 0.921 O
0.818 0.497 0.915 O
0.438 0.359 0.923 O
0.935 0.356 0.926 O
0.256 0.143 0.921 O
0.757 0.138 0.919 O
0.317 0.138 0.414 O
0.829 0.156 0.424 O
0.257 0.377 0.418 O
0.753 0.361 0.418 O
0.434 0.513 0.423 O
0.942 0.515 0.418 O
0.180 0.514 0.079 O
0.672 0.504 0.073 O
0.084 0.669 0.074 O
0.581 0.662 0.080 O
0.255 0.871 0.081 O
0.755 0.857 0.077 O
0.172 0.840 0.572 O
0.678 0.845 0.578 O
0.255 0.652 0.577 O
0.751 0.642 0.580 O
0.080 0.503 0.579 O
0.582 0.495 0.573 O
0.154 0.825 0.256 O
0.643 0.812 0.250 O
0.259 0.681 0.253 O
0.763 0.700 0.245 O
0.087 0.486 0.254 O
0.573 0.459 0.248 O
0.142 0.471 0.749 O
0.654 0.485 0.757 O
0.074 0.686 0.749 O
0.588 0.691 0.755 O
0.263 0.826 0.745 O
0.760 0.840 0.753 O

---

2.
PBE-GGA Nb4As3, relaxed; formation energy from the elements = -4.1 eV/f.u.; V = 497.7 Å³/cell; electronic total energy = -8.357 eV per atom
1.0
1.771 -7.397 0.000
1.771 7.397 0.000
0.000 0.000 18.993
Nb As
16 12
direct
0.738 0.262 0.162 Nb
0.262 0.738 0.838 Nb
0.262 0.738 0.662 Nb
0.738 0.262 0.338 Nb
0.534 0.466 0.120 Nb
0.466 0.534 0.880 Nb
0.466 0.534 0.620 Nb
0.534 0.466 0.380 Nb
0.668 0.332 0.971 Nb
0.332 0.668 0.029 Nb
0.332 0.668 0.471 Nb
0.668 0.332 0.529 Nb
0.000 0.000 0.000 Nb
0.000 0.000 0.500 Nb
0.053 0.947 0.750 Nb
0.947 0.053 0.250 Nb
0.902 0.098 0.118 As
0.098 0.902 0.882 As
0.098 0.902 0.618 As
0.902 0.098 0.382 As
0.842 0.158 0.923 As
0.158 0.842 0.077 As
0.158 0.842 0.423 As
0.842 0.158 0.577 As
0.692 0.308 0.750 As
0.308 0.692 0.250 As
0.413 0.587 0.750 As
0.587 0.413 0.250 As

---

3.
PBE-GGA ReH3O5, relaxed; M_tot = 0.000 μB/atom; formation energy from the elements = -14.4 eV/f.u.; V = 229.6 Å³/cell; electronic total energy = -6.478 eV per atom
1.0
3.415 0.565 5.005
-5.276 -0.108 3.783
1.189 -5.989 -3.484
Re H O
2 6 10
direct
0.131 0.865 0.749 Re
0.872 0.111 0.225 Re
0.460 0.362 0.682 H
0.422 0.694 0.377 H
0.356 0.664 0.131 H
0.664 0.300 0.908 H
0.779 0.677 0.968 H
0.705 0.286 0.662 H
0.636 0.374 0.775 O
0.372 0.576 0.220 O
0.224 0.940 0.576 O
0.890 0.637 0.578 O
0.674 0.226 0.048 O
0.911 0.812 0.077 O
0.744 0.120 0.408 O
0.155 0.277 0.394 O
0.376 0.780 0.925 O
0.033 0.102 0.915 O

---

4.
PBE-GGA CeZr9O20, relaxed; M_tot = 0.000 μB/atom; formation energy from the elements = -113.4 eV/f.u.; V = 358.4 Å³/cell; electronic total energy = -9.382 eV per atom
1.0
-4.724 2.692 -3.491
1.062 -1.868 -7.114
-5.457 -6.029 -1.126
Ce Zr O
1 9 20
direct
0.201 0.301 0.600 Ce
0.398 0.604 0.200 Zr
0.199 0.802 0.596 Zr
0.601 0.895 0.802 Zr
0.403 0.099 0.196 Zr
0.796 0.702 0.399 Zr
0.602 0.397 0.803 Zr
0.803 0.197 0.399 Zr
0.998 0.000 0.002 Zr
0.999 0.502 0.002 Zr
0.384 0.921 0.040 O
0.085 0.721 0.133 O
0.218 0.975 0.764 O
0.317 0.376 0.059 O
0.018 0.177 0.161 O
0.119 0.595 0.452 O
0.718 0.979 0.262 O
0.428 0.773 0.362 O
0.282 0.524 0.742 O
0.879 0.921 0.542 O
0.583 0.722 0.639 O
0.486 0.321 0.335 O
0.180 0.109 0.434 O
0.784 0.522 0.239 O
0.534 0.177 0.665 O
0.815 0.384 0.557 O
0.609 0.583 0.960 O
0.916 0.777 0.861 O
0.965 0.324 0.849 O
0.679 0.121 0.945 O

---

5.
PBE-GGA Li2PdO3, relaxed; M_tot = 0.006 μB/atom; formation energy from the elements = -9.5 eV/f.u.; V = 686.4 Å³/cell; electronic total energy = -5.219 eV per atom
1.0
-0.914 0.411 5.098
4.835 -0.445 1.863
4.402 25.556 0.278
Li Pd O
24 12 36
direct
0.516 0.133 0.940 Li
0.502 0.329 0.839 Li
0.000 0.663 0.668 Li
0.732 0.775 0.867 Li
0.738 0.547 0.972 Li
0.280 0.692 0.914 Li
0.499 0.998 0.501 Li
0.242 0.101 0.699 Li
0.257 0.883 0.812 Li
0.747 0.007 0.754 Li
0.497 0.448 0.274 Li
0.740 0.430 0.532 Li
0.747 0.209 0.644 Li
0.250 0.336 0.588 Li
0.979 0.773 0.111 Li
0.272 0.783 0.355 Li
0.256 0.549 0.477 Li
0.729 0.662 0.420 Li
0.743 0.106 0.186 Li
0.745 0.903 0.297 Li
0.259 0.020 0.243 Li
0.743 0.304 0.082 Li
0.263 0.207 0.136 Li
0.500 0.903 0.056 Li
0.502 0.559 0.722 Pd
0.004 0.450 0.778 Pd
0.000 0.887 0.556 Pd
0.501 0.778 0.611 Pd
0.500 0.222 0.389 Pd
0.000 0.107 0.445 Pd
0.999 0.338 0.332 Pd
0.995 0.557 0.221 Pd
0.493 0.667 0.164 Pd
0.006 0.232 0.889 Pd
0.998 0.003 0.001 Pd
0.257 0.449 0.029 Pd
0.112 0.321 0.963 O
0.644 0.449 0.903 O
0.113 0.549 0.846 O
0.637 0.664 0.787 O
0.135 0.761 0.738 O
0.611 0.877 0.679 O
0.133 0.992 0.622 O
0.635 0.091 0.571 O
0.110 0.204 0.513 O
0.632 0.322 0.456 O
0.897 0.914 0.930 O
0.354 0.770 0.991 O
0.633 0.535 0.349 O
0.125 0.424 0.403 O
0.105 0.653 0.292 O
0.368 0.014 0.876 O
0.374 0.251 0.762 O
0.896 0.139 0.821 O
0.623 0.772 0.232 O
0.125 0.863 0.181 O
0.612 0.973 0.126 O
0.869 0.340 0.711 O
0.870 0.579 0.595 O
0.389 0.465 0.652 O
0.119 0.128 0.066 O
0.616 0.205 0.012 O
0.368 0.670 0.544 O
0.366 0.908 0.428 O
0.890 0.792 0.485 O
0.876 0.020 0.375 O
0.888 0.240 0.265 O
0.369 0.124 0.321 O
0.358 0.351 0.207 O
0.393 0.506 0.099 O
0.861 0.452 0.156 O
0.901 0.675 0.039 O

---

What is the formula in the third record? ReH3O5

---

Which of these has the lowest V? ReH3O5

---

Which of these has the lowest V? ReH3O5

---

What is the formula in the fourth record? CeZr9O20